# Rb2Re3S6

A geometry-optimized Rb2Re3S6 structure (PBE, the Materials Project database).

Calculated values
final energy	-6.609	eV per atom
E_form	-102	kJ/mol of atoms

Cell: 9.922 9.922 12.183 Å, 91.17 91.17 60.27°
Fractional coordinates of all 44 atoms:
Rb  0.118  0.882  0.750
Rb  0.133  0.636  0.981
Rb  0.286  0.714  0.250
Rb  0.364  0.867  0.519
Rb  0.636  0.133  0.481
Rb  0.714  0.286  0.750
Rb  0.867  0.364  0.019
Rb  0.882  0.118  0.250
Re  0.038  0.381  0.627
Re  0.101  0.318  0.414
Re  0.188  0.497  0.522
Re  0.318  0.101  0.914
Re  0.381  0.038  0.127
Re  0.497  0.188  0.022
Re  0.503  0.812  0.978
Re  0.619  0.962  0.873
Re  0.682  0.899  0.086
Re  0.812  0.503  0.478
Re  0.899  0.682  0.586
Re  0.962  0.619  0.373
S  0.045  0.775  0.482
S  0.077  0.227  0.797
S  0.117  0.551  0.713
S  0.223  0.297  0.060
S  0.225  0.955  0.018
S  0.227  0.077  0.297
S  0.231  0.437  0.329
S  0.297  0.223  0.560
S  0.434  0.503  0.570
S  0.437  0.231  0.829
S  0.449  0.883  0.787
S  0.497  0.566  0.930
S  0.503  0.434  0.070
S  0.551  0.117  0.213
S  0.563  0.769  0.171
S  0.566  0.497  0.430
S  0.703  0.777  0.440
S  0.769  0.563  0.671
S  0.773  0.923  0.703
S  0.775  0.045  0.982
S  0.777  0.703  0.940
S  0.883  0.449  0.287
S  0.923  0.773  0.203
S  0.955  0.225  0.518